Entry 1:
Computed, not measured: K after structural relaxation at the GGA-PBE level of DFT.

Properties
ΔH_f (0 K), eV/atom: 0.166
Energy relative to the lowest polymorph listed for this composition, meV per atom: 166

Geometry as POSCAR:
```
K
1.0
-7.239 7.239 3.778
7.239 -7.239 3.778
7.239 7.239 -3.778
K
8
direct
0.299 0.417 0.716 K
0.201 0.917 0.119 K
0.917 0.799 0.716 K
0.799 0.083 0.881 K
0.701 0.583 0.284 K
0.583 0.299 0.881 K
0.417 0.701 0.119 K
0.083 0.201 0.284 K
```

Entry 2:
Computed, not measured: K after structural relaxation at the GGA-PBE level of DFT.

Properties
ΔH_f (0 K), eV/atom: 0.012
Energy relative to the lowest polymorph listed for this composition, meV per atom: 12

Geometry as POSCAR:
```
K
1.0
2.353 -4.075 0.000
2.353 4.075 0.000
0.000 0.000 15.280
K
4
direct
0.333 0.667 0.750 K
0.667 0.333 0.250 K
0.000 0.000 0.500 K
0.000 0.000 0.000 K
```

Entry 3:
Computed, not measured: K after structural relaxation at the GGA-PBE level of DFT.

Properties
ΔH_f (0 K), eV/atom: 0.008
Energy relative to the lowest polymorph listed for this composition, meV per atom: 8

Geometry as POSCAR:
```
K
1.0
-1.486 3.314 2.941
-2.913 -1.498 -3.333
-2.648 -5.392 4.737
K
2
direct
0.820 0.180 0.250 K
0.180 0.820 0.750 K
```

Entry 4:
Computed, not measured: K after structural relaxation at the GGA-PBE level of DFT.

Properties
ΔH_f (0 K), eV/atom: 0.050
Energy relative to the lowest polymorph listed for this composition, meV per atom: 50

Geometry as POSCAR:
```
K
1.0
-11.595 -11.595 11.595
-11.595 11.595 -11.595
11.595 -11.595 -11.595
K
81
direct
0.570 0.698 0.872 K
0.372 0.372 0.372 K
0.128 0.430 0.302 K
0.697 0.500 0.197 K
0.500 0.197 0.697 K
0.302 0.872 0.175 K
0.345 0.557 0.593 K
0.655 0.247 0.212 K
0.557 0.212 0.964 K
0.493 0.185 0.308 K
0.247 0.593 0.036 K
0.036 0.443 0.788 K
0.500 0.600 0.100 K
0.743 0.902 0.841 K
0.902 0.159 0.061 K
0.000 0.372 0.000 K
0.159 0.061 0.902 K
0.407 0.964 0.753 K
0.443 0.788 0.036 K
0.872 0.570 0.698 K
0.098 0.841 0.939 K
0.212 0.964 0.557 K
0.100 0.500 0.600 K
0.902 0.841 0.743 K
0.036 0.247 0.593 K
0.407 0.655 0.443 K
0.443 0.407 0.655 K
0.964 0.557 0.212 K
0.557 0.593 0.345 K
0.175 0.302 0.872 K
0.698 0.128 0.825 K
0.159 0.257 0.098 K
0.692 0.507 0.815 K
0.507 0.815 0.692 K
0.900 0.500 0.400 K
0.593 0.036 0.247 K
0.788 0.345 0.753 K
0.628 0.628 0.628 K
0.123 0.815 0.308 K
0.692 0.877 0.185 K
0.600 0.100 0.500 K
0.345 0.753 0.788 K
0.803 0.303 0.500 K
0.753 0.788 0.345 K
0.698 0.872 0.570 K
0.655 0.443 0.407 K
0.939 0.098 0.841 K
0.257 0.098 0.159 K
0.788 0.036 0.443 K
0.372 0.000 0.000 K
0.841 0.939 0.098 K
0.500 0.803 0.303 K
0.400 0.900 0.500 K
0.185 0.308 0.493 K
0.000 0.000 0.372 K
0.815 0.692 0.507 K
0.061 0.902 0.159 K
0.212 0.655 0.247 K
0.964 0.753 0.407 K
0.303 0.500 0.803 K
0.128 0.825 0.698 K
0.000 0.000 0.628 K
0.247 0.212 0.655 K
0.753 0.407 0.964 K
0.000 0.000 0.000 K
0.500 0.400 0.900 K
0.841 0.743 0.902 K
0.430 0.302 0.128 K
0.185 0.692 0.877 K
0.197 0.697 0.500 K
0.877 0.185 0.692 K
0.815 0.308 0.123 K
0.308 0.123 0.815 K
0.593 0.345 0.557 K
0.098 0.159 0.257 K
0.000 0.628 0.000 K
0.302 0.128 0.430 K
0.628 0.000 0.000 K
0.308 0.493 0.185 K
0.872 0.175 0.302 K
0.825 0.698 0.128 K
```